{"formula": "LiMo2P3O13", "functional": "PBE with a Hubbard U", "state": "optimized geometry", "de_polymorph_ev_per_atom": 0.000, "volume_a3_per_cell": 1028.9, "formation_enthalpy_0k_ev_per_atom": -2.44, "crystal_system": "monoclinic", "density_g_cm3": 3.2, "magmom_total_mub_per_cell": 8.0, "space_group": "P2_1/c", "lattice_angstrom": [[-11.287, 18.727, 5.488], [-5.592, -3.057, -1.068], [-1.102, -2.589, 6.570]], "species": ["O", "O", "O", "O", "O", "O", "O", "O", "O", "O", "O", "O", "O", "O", "O", "O", "O", "O", "O", "O", "O", "O", "O", "O", "O", "O", "O", "O", "O", "O", "O", "O", "O", "O", "O", "O", "O", "O", "O", "O", "O", "O", "O", "O", "O", "O", "O", "O", "O", "O", "O", "O", "P", "P", "P", "P", "P", "P", "P", "P", "P", "P", "P", "P", "Mo", "Mo", "Mo", "Mo", "Mo", "Mo", "Mo", "Mo", "Li", "Li", "Li", "Li"], "fractional_positions": [[0.160, 0.731, 0.205], [0.154, 0.221, 0.232], [0.085, 0.104, 0.545], [0.113, 0.724, 0.519], [0.840, 0.269, 0.795], [0.877, 0.144, 0.175], [0.566, 0.985, 0.207], [0.660, 0.769, 0.295], [0.915, 0.896, 0.455], [0.559, 0.594, 0.271], [0.022, 0.790, 0.698], [0.978, 0.210, 0.302], [0.887, 0.276, 0.481], [0.123, 0.856, 0.825], [0.478, 0.290, 0.198], [0.940, 0.717, 0.015], [0.705, 0.397, 0.551], [0.340, 0.231, 0.705], [0.623, 0.644, 0.675], [0.059, 0.906, 0.229], [0.440, 0.783, 0.485], [0.434, 0.015, 0.793], [0.809, 0.526, 0.060], [0.691, 0.026, 0.560], [0.377, 0.356, 0.325], [0.738, 0.705, 0.814], [0.415, 0.604, 0.045], [0.205, 0.103, 0.949], [0.522, 0.710, 0.802], [0.060, 0.283, 0.985], [0.724, 0.236, 0.943], [0.387, 0.224, 0.019], [0.224, 0.264, 0.557], [0.762, 0.205, 0.314], [0.066, 0.515, 0.293], [0.934, 0.485, 0.707], [0.941, 0.094, 0.771], [0.346, 0.721, 0.732], [0.846, 0.779, 0.768], [0.262, 0.295, 0.186], [0.560, 0.217, 0.515], [0.238, 0.795, 0.686], [0.613, 0.776, 0.981], [0.441, 0.406, 0.729], [0.309, 0.974, 0.440], [0.276, 0.764, 0.057], [0.295, 0.603, 0.449], [0.191, 0.474, 0.940], [0.585, 0.396, 0.955], [0.795, 0.897, 0.051], [0.654, 0.279, 0.268], [0.776, 0.736, 0.443], [0.796, 0.730, 0.917], [0.204, 0.270, 0.083], [0.916, 0.120, 0.349], [0.401, 0.219, 0.799], [0.599, 0.781, 0.201], [0.416, 0.380, 0.151], [0.584, 0.620, 0.849], [0.084, 0.880, 0.651], [0.901, 0.281, 0.701], [0.704, 0.230, 0.417], [0.099, 0.719, 0.299], [0.296, 0.770, 0.583], [0.707, 0.722, 0.542], [0.436, 0.723, 0.723], [0.293, 0.278, 0.458], [0.564, 0.277, 0.277], [0.064, 0.223, 0.223], [0.936, 0.777, 0.777], [0.207, 0.778, 0.958], [0.793, 0.222, 0.042], [0.851, 0.769, 0.287], [0.649, 0.269, 0.787], [0.149, 0.231, 0.713], [0.351, 0.731, 0.213]]}



{"formula": "Ba2MgZnWO6", "functional": "PBE with a Hubbard U", "state": "optimized geometry", "de_polymorph_ev_per_atom": 0.069, "volume_a3_per_cell": 175.3, "formation_enthalpy_0k_ev_per_atom": -2.33, "crystal_system": "orthorhombic", "density_g_cm3": 6.1, "magmom_total_mub_per_cell": 2.0, "space_group": "Immm", "lattice_angstrom": [[3.228, -5.115, 2.761], [1.021, -4.495, -3.480], [6.385, -1.716, -0.702]], "species": ["Mg", "O", "O", "O", "O", "O", "O", "Ba", "Ba", "Zn", "W"], "fractional_positions": [[0.500, 0.000, 0.500], [0.262, 0.251, 0.738], [0.198, 0.802, 0.198], [0.738, 0.749, 0.262], [0.738, 0.251, 0.262], [0.262, 0.749, 0.738], [0.802, 0.198, 0.802], [0.189, 0.311, 0.189], [0.811, 0.689, 0.811], [0.500, 0.500, 0.500], [0.000, 0.000, 0.000]]}



{"formula": "Ba3TaFe3Si2O14", "functional": "PBE with a Hubbard U", "state": "optimized geometry", "volume_a3_per_cell": 345.2, "formation_enthalpy_0k_ev_per_atom": -2.86, "crystal_system": "trigonal", "density_g_cm3": 5.0, "magmom_total_mub_per_cell": 15.0, "space_group": "P321", "lattice_angstrom": [[4.330, -7.500, 0.000], [4.330, 7.500, 0.000], [0.000, 0.000, 5.315]], "species": ["O", "O", "O", "O", "O", "O", "O", "O", "O", "O", "O", "O", "O", "O", "Ba", "Ba", "Ba", "Fe", "Fe", "Fe", "Si", "Si", "Ta"], "fractional_positions": [[0.178, 0.703, 0.646], [0.215, 0.100, 0.777], [0.885, 0.785, 0.777], [0.525, 0.822, 0.646], [0.667, 0.333, 0.782], [0.475, 0.297, 0.354], [0.703, 0.178, 0.354], [0.785, 0.885, 0.223], [0.297, 0.475, 0.646], [0.115, 0.900, 0.223], [0.822, 0.525, 0.354], [0.100, 0.215, 0.223], [0.333, 0.667, 0.218], [0.900, 0.115, 0.777], [0.567, 0.567, 0.000], [0.000, 0.433, 0.000], [0.433, 0.000, 0.000], [0.749, 0.000, 0.500], [0.251, 0.251, 0.500], [0.000, 0.749, 0.500], [0.333, 0.667, 0.522], [0.667, 0.333, 0.478], [0.000, 0.000, 0.000]]}



{"formula": "Ba2BiWO6", "functional": "PBE with a Hubbard U", "state": "optimized geometry", "de_polymorph_ev_per_atom": 0.000, "volume_a3_per_cell": 652.1, "formation_enthalpy_0k_ev_per_atom": -2.49, "crystal_system": "cubic", "density_g_cm3": 7.8, "magmom_total_mub_per_cell": 4.0, "space_group": "Pn-3", "lattice_angstrom": [[-3.219, -5.461, -5.917], [0.260, -6.440, 5.802], [-8.048, 1.976, 2.554]], "species": ["O", "O", "O", "O", "O", "O", "O", "O", "O", "O", "O", "O", "O", "O", "O", "O", "O", "O", "O", "O", "O", "O", "O", "O", "Ba", "Ba", "Ba", "Ba", "Ba", "Ba", "Ba", "Ba", "Bi", "Bi", "Bi", "Bi", "W", "W", "W", "W"], "fractional_positions": [[0.519, 0.775, 0.274], [0.774, 0.019, 0.725], [0.981, 0.725, 0.226], [0.775, 0.726, 0.481], [0.019, 0.275, 0.226], [0.481, 0.775, 0.726], [0.726, 0.481, 0.775], [0.774, 0.981, 0.275], [0.481, 0.225, 0.274], [0.981, 0.275, 0.774], [0.226, 0.981, 0.725], [0.275, 0.226, 0.019], [0.226, 0.019, 0.275], [0.274, 0.481, 0.225], [0.725, 0.226, 0.981], [0.275, 0.774, 0.981], [0.725, 0.774, 0.019], [0.274, 0.519, 0.775], [0.519, 0.225, 0.726], [0.726, 0.519, 0.225], [0.225, 0.726, 0.519], [0.019, 0.725, 0.774], [0.775, 0.274, 0.519], [0.225, 0.274, 0.481], [0.500, 0.000, 0.000], [0.000, 0.500, 0.500], [0.000, 0.000, 0.500], [0.500, 0.000, 0.500], [0.000, 0.000, 0.000], [0.500, 0.500, 0.000], [0.000, 0.500, 0.000], [0.500, 0.500, 0.500], [0.750, 0.750, 0.750], [0.750, 0.250, 0.250], [0.250, 0.750, 0.250], [0.250, 0.250, 0.750], [0.750, 0.250, 0.750], [0.750, 0.750, 0.250], [0.250, 0.250, 0.250], [0.250, 0.750, 0.750]]}



{"formula": "CrBiTeO6", "functional": "PBE with a Hubbard U", "state": "optimized geometry", "volume_a3_per_cell": 479.6, "formation_enthalpy_0k_ev_per_atom": -1.86, "density_g_cm3": 6.7, "magmom_total_mub_per_cell": 0.0, "lattice_angstrom": [[0.839, 4.273, 2.934], [1.686, 4.831, -7.520], [-9.737, 2.366, -0.664]], "species": ["O", "O", "O", "O", "O", "O", "O", "O", "O", "O", "O", "O", "O", "O", "O", "O", "O", "O", "O", "O", "O", "O", "O", "O", "Bi", "Bi", "Bi", "Bi", "Te", "Te", "Te", "Te", "Cr", "Cr", "Cr", "Cr"], "fractional_positions": [[0.822, 0.814, 0.858], [0.178, 0.814, 0.642], [0.309, 0.318, 0.358], [0.369, 0.996, 0.358], [0.822, 0.186, 0.358], [0.631, 0.996, 0.142], [0.322, 0.314, 0.858], [0.369, 0.004, 0.858], [0.691, 0.682, 0.642], [0.131, 0.504, 0.642], [0.178, 0.186, 0.142], [0.191, 0.182, 0.642], [0.678, 0.314, 0.642], [0.809, 0.182, 0.858], [0.322, 0.686, 0.358], [0.309, 0.682, 0.858], [0.809, 0.818, 0.358], [0.678, 0.686, 0.142], [0.631, 0.004, 0.642], [0.191, 0.818, 0.142], [0.131, 0.496, 0.142], [0.869, 0.496, 0.358], [0.869, 0.504, 0.858], [0.691, 0.318, 0.142], [0.000, 0.000, 0.000], [0.500, 0.500, 0.000], [0.500, 0.500, 0.500], [0.000, 0.000, 0.500], [0.500, 0.833, 0.250], [0.500, 0.167, 0.750], [0.000, 0.333, 0.250], [0.000, 0.667, 0.750], [0.000, 0.667, 0.250], [0.500, 0.167, 0.250], [0.500, 0.833, 0.750], [0.000, 0.333, 0.750]]}



{"formula": "Eu2Mn2O5", "functional": "PBE with a Hubbard U", "state": "optimized geometry", "de_polymorph_ev_per_atom": 0.057, "volume_a3_per_cell": 120.3, "formation_enthalpy_0k_ev_per_atom": -2.60, "crystal_system": "tetragonal", "density_g_cm3": 6.8, "magmom_total_mub_per_cell": 22.0, "space_group": "P4/mmm", "lattice_angstrom": [[3.960, 0.000, 0.000], [0.000, 3.960, 0.000], [0.000, 0.000, 7.669]], "species": ["Eu", "Eu", "O", "O", "O", "O", "O", "Mn", "Mn"], "fractional_positions": [[0.000, 0.000, 0.000], [0.000, 0.000, 0.500], [0.500, 0.500, 0.500], [0.000, 0.500, 0.795], [0.500, 0.000, 0.795], [0.000, 0.500, 0.205], [0.500, 0.000, 0.205], [0.500, 0.500, 0.238], [0.500, 0.500, 0.762]]}



{"formula": "Li4Ti3Co2Sn3O16", "functional": "PBE with a Hubbard U", "state": "optimized geometry", "de_polymorph_ev_per_atom": 0.009, "volume_a3_per_cell": 320.1, "formation_enthalpy_0k_ev_per_atom": -2.43, "crystal_system": "monoclinic", "density_g_cm3": 4.7, "magmom_total_mub_per_cell": 6.0, "space_group": "Cm", "lattice_angstrom": [[6.139, 0.018, 0.041], [-3.054, 5.288, 0.000], [0.066, 0.039, 9.844]], "species": ["O", "O", "O", "O", "O", "O", "O", "O", "O", "O", "O", "O", "O", "O", "O", "O", "Li", "Li", "Li", "Li", "Co", "Co", "Ti", "Ti", "Ti", "Sn", "Sn", "Sn"], "fractional_positions": [[0.491, 0.527, 0.335], [0.529, 0.036, 0.832], [0.529, 0.493, 0.832], [0.990, 0.995, 0.815], [0.030, 0.515, 0.337], [0.830, 0.149, 0.105], [0.153, 0.317, 0.602], [0.351, 0.675, 0.098], [0.830, 0.682, 0.105], [0.313, 0.157, 0.095], [0.690, 0.845, 0.614], [0.153, 0.836, 0.602], [0.690, 0.345, 0.603], [0.491, 0.964, 0.335], [0.962, 0.481, 0.826], [0.987, 0.993, 0.319], [0.670, 0.335, 0.393], [0.980, 0.990, 0.996], [0.337, 0.669, 0.886], [0.988, 0.994, 0.502], [0.330, 0.665, 0.494], [0.673, 0.337, 0.993], [0.831, 0.662, 0.717], [0.830, 0.167, 0.716], [0.661, 0.831, 0.217], [0.341, 0.171, 0.713], [0.169, 0.338, 0.214], [0.169, 0.831, 0.214]]}



{"formula": "CsFe2P5O16", "functional": "PBE with a Hubbard U", "state": "optimized geometry", "volume_a3_per_cell": 710.2, "formation_enthalpy_0k_ev_per_atom": -2.52, "crystal_system": "monoclinic", "density_g_cm3": 3.1, "magmom_total_mub_per_cell": 20.0, "space_group": "Pc", "lattice_angstrom": [[-9.325, 0.805, -1.879], [-1.375, -6.282, 4.134], [-1.823, 2.317, 10.043]], "species": ["O", "O", "O", "O", "O", "O", "O", "O", "O", "O", "O", "O", "O", "O", "O", "O", "O", "O", "O", "O", "O", "O", "O", "O", "O", "O", "O", "O", "O", "O", "O", "O", "Cs", "Cs", "Fe", "Fe", "Fe", "Fe", "P", "P", "P", "P", "P", "P", "P", "P", "P", "P"], "fractional_positions": [[0.215, 0.498, 0.019], [0.473, 0.018, 0.440], [0.071, 0.303, 0.657], [0.700, 0.787, 0.561], [0.304, 0.520, 0.517], [0.929, 0.303, 0.157], [0.504, 0.333, 0.960], [0.182, 0.492, 0.785], [0.017, 0.609, 0.397], [0.818, 0.492, 0.285], [0.542, 0.046, 0.176], [0.740, 0.158, 0.002], [0.235, 0.482, 0.263], [0.785, 0.498, 0.519], [0.202, 0.807, 0.806], [0.548, 0.490, 0.626], [0.496, 0.333, 0.460], [0.518, 0.689, 0.375], [0.993, 0.236, 0.406], [0.007, 0.236, 0.906], [0.250, 0.153, 0.848], [0.482, 0.689, 0.875], [0.798, 0.807, 0.306], [0.983, 0.609, 0.897], [0.300, 0.787, 0.061], [0.750, 0.153, 0.348], [0.527, 0.018, 0.940], [0.765, 0.482, 0.763], [0.260, 0.158, 0.502], [0.458, 0.046, 0.676], [0.696, 0.520, 0.017], [0.452, 0.490, 0.126], [0.198, 0.992, 0.259], [0.802, 0.992, 0.759], [0.142, 0.379, 0.465], [0.632, 0.934, 0.359], [0.368, 0.934, 0.859], [0.858, 0.379, 0.965], [0.582, 0.127, 0.025], [0.418, 0.127, 0.525], [0.140, 0.614, 0.873], [0.296, 0.575, 0.124], [0.125, 0.282, 0.799], [0.875, 0.282, 0.299], [0.459, 0.520, 0.487], [0.860, 0.614, 0.373], [0.541, 0.520, 0.987], [0.704, 0.575, 0.624]]}